Material: Ba5Ru2Cl2O9
Method: DFT, PBE
State: optimized geometry

```
Ba5Ru2Cl2O9
1.0
5.922 0.000 0.000
-2.961 5.129 0.000
0.000 0.000 25.215
Ba Ru Cl O
10 4 4 18
direct
0.333 0.667 0.082
0.333 0.667 0.250
0.333 0.667 0.418
0.333 0.667 0.671
0.333 0.667 0.829
0.667 0.333 0.171
0.667 0.333 0.329
0.667 0.333 0.582
0.667 0.333 0.750
0.667 0.333 0.918
0.000 0.000 0.193
0.000 0.000 0.307
0.000 0.000 0.693
0.000 0.000 0.807
0.333 0.667 0.546
0.333 0.667 0.954
0.667 0.333 0.046
0.667 0.333 0.454
0.151 0.302 0.750
0.151 0.849 0.750
0.160 0.320 0.155
0.160 0.320 0.345
0.160 0.840 0.155
0.160 0.840 0.345
0.302 0.151 0.250
0.320 0.160 0.655
0.320 0.160 0.845
0.680 0.840 0.155
0.680 0.840 0.345
0.698 0.849 0.750
0.840 0.160 0.655
0.840 0.160 0.845
0.840 0.680 0.655
0.840 0.680 0.845
0.849 0.151 0.250
0.849 0.698 0.250
```

**SG**: P6_3/mmc, No. 194
**Energy above the lowest structure with this stoichiometry**: 0 meV per atom